Entry 1:
# SiO2

Crystalline SiO2 at its relaxed geometry (PBE, the Materials Project).

Calculated values
Uncorrected energy, Ry/atom: -0.580
Symmetry: P4/mbm, No. 127
Calculated formation energy, meV per atom: -3242

a = 15.4852 Å, b = 15.4852 Å, c = 12.0093 Å
α = 90.00°, β = 90.00°, γ = 90.00°
With the nearest neighbours (Å) after each atom.
Element x y z (fractional)
O1 0.8751 0.8156 0.8879  2 Si 1.63-1.64
O2 0.7429 0.7571 0.0000  2 Si 1.61
O3 0.6844 0.6249 0.8879  2 Si 1.63-1.64
O4 0.8270 0.5273 0.1128  2 Si 1.63-1.64
O5 0.9671 0.8307 0.5000  2 Si 1.63
O6 0.8277 0.6723 0.2274  2 Si 1.64
O7 0.7738 0.9233 0.0000  2 Si 1.61-1.63
O8 0.3156 0.3751 0.8879  2 Si 1.63-1.64
O9 0.3277 0.8277 0.7726  2 Si 1.64
O10 0.9233 0.2262 0.0000  2 Si 1.61-1.63
O11 0.9320 0.1013 0.3432  2 Si 1.63
O12 0.7571 0.2571 0.0000  2 Si 1.61
O13 0.4320 0.3987 0.6568  2 Si 1.63
O14 0.0273 0.3270 0.8872  2 Si 1.63-1.64
O15 0.0990 0.5990 0.0000  2 Si 1.62
O16 0.6693 0.5329 0.5000  2 Si 1.63
O17 0.5433 0.2738 0.2946  2 Si 1.62
O18 0.9320 0.1013 0.6568  2 Si 1.63
O19 0.5767 0.7262 0.0000  2 Si 1.61-1.63
O20 0.8751 0.8156 0.1121  2 Si 1.63-1.64
O21 0.0433 0.2262 0.2946  2 Si 1.62
O22 0.3277 0.8277 0.2274  2 Si 1.64
O23 0.0329 0.1693 0.5000  2 Si 1.63
O24 0.4727 0.8270 0.1128  2 Si 1.63-1.64
O25 0.1844 0.8751 0.8879  2 Si 1.63-1.64
O26 0.8277 0.6723 0.7726  2 Si 1.64
O27 0.5329 0.3307 0.5000  2 Si 1.63
O28 0.2738 0.4567 0.7054  2 Si 1.62
O29 0.1730 0.4727 0.8872  2 Si 1.63-1.64
O30 0.2738 0.5767 0.0000  2 Si 1.61-1.63
O31 0.4320 0.3987 0.3432  2 Si 1.63
O32 0.1013 0.0680 0.3432  2 Si 1.63
O33 0.1693 0.9671 0.5000  2 Si 1.63
O34 0.4727 0.8270 0.8872  2 Si 1.63-1.64
O35 0.8987 0.9320 0.6568  2 Si 1.63
O36 0.8156 0.1249 0.8879  2 Si 1.63-1.64
O37 0.5433 0.2738 0.7054  2 Si 1.62
O38 0.7262 0.4233 0.0000  2 Si 1.61-1.63
O39 0.7738 0.0433 0.7054  2 Si 1.62
O40 0.8156 0.1249 0.1121  2 Si 1.63-1.64
O41 0.1249 0.1844 0.1121  2 Si 1.63-1.64
O42 0.6723 0.1723 0.7726  2 Si 1.64
O43 0.6013 0.4320 0.6568  2 Si 1.63
O44 0.5680 0.6013 0.3432  2 Si 1.63
O45 0.1249 0.1844 0.8879  2 Si 1.63-1.64
O46 0.8987 0.9320 0.3432  2 Si 1.63
O47 0.4233 0.2738 0.0000  2 Si 1.61-1.63
O48 0.9727 0.6730 0.8872  2 Si 1.63-1.64
O49 0.7738 0.0433 0.2946  2 Si 1.62
O50 0.0433 0.2262 0.7054  2 Si 1.62
O51 0.2262 0.9567 0.7054  2 Si 1.62
O52 0.3987 0.5680 0.3432  2 Si 1.63
O53 0.9010 0.4010 0.0000  2 Si 1.62
O54 0.3270 0.9727 0.1128  2 Si 1.63-1.64
O55 0.8307 0.0329 0.5000  2 Si 1.63
O56 0.7262 0.5433 0.7054  2 Si 1.62
O57 0.0680 0.8987 0.3432  2 Si 1.63
O58 0.1723 0.3277 0.7726  2 Si 1.64
O59 0.6723 0.1723 0.2274  2 Si 1.64
O60 0.2262 0.9567 0.2946  2 Si 1.62
O61 0.7262 0.5433 0.2946  2 Si 1.62
O62 0.9567 0.7738 0.2946  2 Si 1.62
O63 0.6730 0.0273 0.1128  2 Si 1.63-1.64
O64 0.6730 0.0273 0.8872  2 Si 1.63-1.64
O65 0.1844 0.8751 0.1121  2 Si 1.63-1.64
O66 0.3307 0.4671 0.5000  2 Si 1.63
O67 0.5680 0.6013 0.6568  2 Si 1.63
O68 0.9727 0.6730 0.1128  2 Si 1.63-1.64
O69 0.2738 0.4567 0.2946  2 Si 1.62
O70 0.1013 0.0680 0.6568  2 Si 1.63
O71 0.3751 0.6844 0.1121  2 Si 1.63-1.64
O72 0.1723 0.3277 0.2274  2 Si 1.64
O73 0.2262 0.0767 0.0000  2 Si 1.61-1.63
O74 0.3270 0.9727 0.8872  2 Si 1.63-1.64
O75 0.6844 0.6249 0.1121  2 Si 1.63-1.64
O76 0.9567 0.7738 0.7054  2 Si 1.62
O77 0.5273 0.1730 0.8872  2 Si 1.63-1.64
O78 0.5990 0.9010 0.0000  2 Si 1.62
O79 0.5273 0.1730 0.1128  2 Si 1.63-1.64
O80 0.2571 0.2429 0.0000  2 Si 1.61
O81 0.1730 0.4727 0.1128  2 Si 1.63-1.64
O82 0.6249 0.3156 0.1121  2 Si 1.63-1.64
O83 0.0680 0.8987 0.6568  2 Si 1.63
O84 0.3156 0.3751 0.1121  2 Si 1.63-1.64
O85 0.3987 0.5680 0.6568  2 Si 1.63
O86 0.4671 0.6693 0.5000  2 Si 1.63
O87 0.6249 0.3156 0.8879  2 Si 1.63-1.64
O88 0.4010 0.0990 0.0000  2 Si 1.62
O89 0.4567 0.7262 0.7054  2 Si 1.62
O90 0.8270 0.5273 0.8872  2 Si 1.63-1.64
O91 0.2429 0.7429 0.0000  2 Si 1.61
O92 0.6013 0.4320 0.3432  2 Si 1.63
O93 0.0767 0.7738 0.0000  2 Si 1.61-1.63
O94 0.0273 0.3270 0.1128  2 Si 1.63-1.64
O95 0.4567 0.7262 0.2946  2 Si 1.62
O96 0.3751 0.6844 0.8879  2 Si 1.63-1.64
Si1 0.1405 0.9724 0.3698  4 O 1.62-1.63
Si2 0.6711 0.6823 0.0000  4 O 1.61-1.63
Si3 0.0276 0.1405 0.6302  4 O 1.62-1.63
Si4 0.4724 0.6405 0.6302  4 O 1.62-1.63
Si5 0.0276 0.1405 0.3698  4 O 1.62-1.63
Si6 0.3177 0.6711 0.0000  4 O 1.61-1.63
Si7 0.3213 0.0310 0.0000  4 O 1.62-1.63
Si8 0.6787 0.9690 0.0000  4 O 1.62-1.63
Si9 0.3595 0.4724 0.3698  4 O 1.62-1.63
Si10 0.5310 0.8213 0.0000  4 O 1.62-1.63
Si11 0.1711 0.8177 0.0000  4 O 1.61-1.63
Si12 0.3595 0.4724 0.6302  4 O 1.62-1.63
Si13 0.8595 0.0276 0.6302  4 O 1.62-1.63
Si14 0.1405 0.9724 0.6302  4 O 1.62-1.63
Si15 0.8595 0.0276 0.3698  4 O 1.62-1.63
Si16 0.8213 0.4690 0.0000  4 O 1.62-1.63
Si17 0.6405 0.5276 0.6302  4 O 1.62-1.63
Si18 0.0921 0.2666 0.8131  4 O 1.62-1.64
Si19 0.5276 0.3595 0.6302  4 O 1.62-1.63
Si20 0.9724 0.8595 0.6302  4 O 1.62-1.63
Si21 0.7666 0.5921 0.8131  4 O 1.62-1.64
Si22 0.0921 0.2666 0.1869  4 O 1.62-1.64
Si23 0.2334 0.4079 0.1869  4 O 1.62-1.64
Si24 0.2666 0.9079 0.1869  4 O 1.62-1.64
Si25 0.5276 0.3595 0.3698  4 O 1.62-1.63
Si26 0.4690 0.1787 0.0000  4 O 1.62-1.63
Si27 0.5921 0.2334 0.1869  4 O 1.62-1.64
Si28 0.8177 0.8289 0.0000  4 O 1.61-1.63
Si29 0.4079 0.7666 0.1869  4 O 1.62-1.64
Si30 0.6823 0.3289 0.0000  4 O 1.61-1.63
Si31 0.9690 0.3213 0.0000  4 O 1.62-1.63
Si32 0.2334 0.4079 0.8131  4 O 1.62-1.64
Si33 0.4079 0.7666 0.8131  4 O 1.62-1.64
Si34 0.9079 0.7334 0.1869  4 O 1.62-1.64
Si35 0.5921 0.2334 0.8131  4 O 1.62-1.64
Si36 0.1823 0.1711 0.0000  4 O 1.61-1.63
Si37 0.7666 0.5921 0.1869  4 O 1.62-1.64
Si38 0.7334 0.0921 0.8131  4 O 1.62-1.64
Si39 0.0310 0.6787 0.0000  4 O 1.62-1.63
Si40 0.1787 0.5310 0.0000  4 O 1.62-1.63
Si41 0.4724 0.6405 0.3698  4 O 1.62-1.63
Si42 0.6405 0.5276 0.3698  4 O 1.62-1.63
Si43 0.9724 0.8595 0.3698  4 O 1.62-1.63
Si44 0.2666 0.9079 0.8131  4 O 1.62-1.64
Si45 0.3289 0.3177 0.0000  4 O 1.61-1.63
Si46 0.9079 0.7334 0.8131  4 O 1.62-1.64
Si47 0.8289 0.1823 0.0000  4 O 1.61-1.63
Si48 0.7334 0.0921 0.1869  4 O 1.62-1.64

=====

Entry 2:
# ReN2

Crystalline ReN2 at its relaxed geometry (PBE, the Materials Project).

Calculated values
Uncorrected energy, Ry/atom: -0.698
Symmetry: P2_1/m, No. 11
Calculated formation energy, meV per atom: -35

a = 2.8929 Å, b = 4.2371 Å, c = 5.1084 Å
α = 66.93°, β = 90.00°, γ = 90.00°
With the nearest neighbours (Å) after each atom.
Element x y z (fractional)
N1 0.2500 0.3454 0.2955  1 N 1.38
N2 0.7500 0.6546 0.7045  1 N 1.38
N3 0.7500 0.8895 0.8293  1 N 1.38
N4 0.2500 0.1105 0.1707  1 N 1.38
Re1 0.7500 0.7060 0.2837  6 N 2.07-2.14
Re2 0.2500 0.2940 0.7163  6 N 2.07-2.14

=====

Entry 3:
# NdAlNi4

Crystalline NdAlNi4 at its relaxed geometry (PBE, the Materials Project).

Calculated values
Uncorrected energy, Ry/atom: -0.418
Symmetry: P-6m2, No. 187
Calculated formation energy, meV per atom: -420

a = 5.1407 Å, b = 5.1407 Å, c = 3.8777 Å
α = 90.00°, β = 90.00°, γ = 120.00°
With the nearest neighbours (Å) after each atom.
Element x y z (fractional)
Al1 0.0000 0.0000 0.0000  6 Ni 2.45
Ni1 0.1690 0.3379 0.5000  6 Ni 2.43-2.61, 2 Al 2.45
Ni2 0.6621 0.8310 0.5000  6 Ni 2.43-2.61, 2 Al 2.45
Ni3 0.1690 0.8310 0.5000  6 Ni 2.43-2.61, 2 Al 2.45
Ni4 0.3333 0.6667 0.0000  6 Ni 2.43
Nd1 0.6667 0.3333 0.0000  3 Al 2.97, 15 Ni 2.97-3.22

=====

Entry 4:
# MgPb2

Crystalline MgPb2 at its relaxed geometry (PBE, the Materials Project).

Calculated values
Uncorrected energy, Ry/atom: -0.222
Symmetry: P6_3/mmc, No. 194
Calculated formation energy, meV per atom: -8
Energy relative to the lowest polymorph listed for this composition, eV/atom: 0.000

a = 3.4998 Å, b = 3.4998 Å, c = 15.9860 Å
α = 90.00°, β = 90.00°, γ = 120.00°
With the nearest neighbours (Å) after each atom.
Element x y z (fractional)
Mg1 0.3333 0.6667 0.7500  6 Pb 3.20, 6 Mg 3.50
Mg2 0.6667 0.3333 0.2500  6 Pb 3.20, 6 Mg 3.50
Pb1 0.3333 0.6667 0.0944  3 Mg 3.20, 6 Pb 3.50
Pb2 0.3333 0.6667 0.4056  3 Mg 3.20, 6 Pb 3.50
Pb3 0.6667 0.3333 0.9056  3 Mg 3.20, 6 Pb 3.50
Pb4 0.6667 0.3333 0.5944  3 Mg 3.20, 6 Pb 3.50

=====

Entry 5:
# BaEuNbSnO6

Crystalline BaEuNbSnO6 at its relaxed geometry (PBE, the Materials Project).

Calculated values
Uncorrected energy, Ry/atom: -0.585
Symmetry: F-43m, No. 216
Calculated formation energy, meV per atom: -2780

a = 5.9830 Å, b = 5.9830 Å, c = 5.9830 Å
α = 60.00°, β = 60.00°, γ = 60.00°
With the nearest neighbours (Å) after each atom.
Element x y z (fractional)
O1 0.2384 0.7616 0.7616  1 Nb 2.02, 1 Sn 2.21
O2 0.7616 0.7616 0.2384  1 Nb 2.02, 1 Sn 2.21
O3 0.7616 0.2384 0.7616  1 Nb 2.02, 1 Sn 2.21
O4 0.2384 0.2384 0.7616  1 Nb 2.02, 1 Sn 2.21
O5 0.2384 0.7616 0.2384  1 Nb 2.02, 1 Sn 2.21
O6 0.7616 0.2384 0.2384  1 Nb 2.02, 1 Sn 2.21
Nb1 0.0000 0.0000 0.0000  6 O 2.02
Eu1 0.7500 0.7500 0.7500  12 O 2.99
Sn1 0.5000 0.5000 0.5000  6 O 2.21
Ba1 0.2500 0.2500 0.2500  12 O 2.99

=====

Entry 6:
# LaNb2CuClO7

Crystalline LaNb2CuClO7 at its relaxed geometry (PBE, the Materials Project).

Calculated values
Uncorrected energy, Ry/atom: -0.574
Symmetry: P4/mmm, No. 123
Calculated formation energy, meV per atom: -2740
Energy relative to the lowest polymorph listed for this composition, eV/atom: 0.026

a = 3.9222 Å, b = 3.9222 Å, c = 11.8431 Å
α = 90.00°, β = 90.00°, γ = 90.00°
With the nearest neighbours (Å) after each atom.
Element x y z (fractional)
O1 0.5000 0.5000 0.6544  1 Nb 1.80, 1 Cu 1.83
O2 0.5000 0.0000 0.8440  2 Nb 2.01
O3 0.0000 0.5000 0.8440  2 Nb 2.01
O4 0.0000 0.5000 0.1560  2 Nb 2.01
O5 0.5000 0.5000 0.3456  1 Nb 1.80, 1 Cu 1.83
O6 0.5000 0.5000 0.0000  2 Nb 2.29
O7 0.5000 0.0000 0.1560  2 Nb 2.01
Nb1 0.5000 0.5000 0.1933  5 O 1.80-2.01
Nb2 0.5000 0.5000 0.8067  5 O 1.80-2.01
La1 0.0000 0.0000 0.0000  12 O 2.69-2.77
Cl1 0.0000 0.0000 0.5000  4 Cu 2.77
Cu1 0.5000 0.5000 0.5000  2 O 1.83

=====

Question: Which of these has the highest calculated formation energy?
Answer: MgPb2